[1]
First-principles (PBE) data for a relaxed SiO2 crystal, as listed in Materials Project.

a b c (Å): 5.0665 5.0837 7.0418
angles (deg): 90.00 90.00 90.00
With the nearest neighbours (Å) after each atom.
Element x y z (fractional)
Si (0.9996, 0.0454, 0.6248)  4 O 1.62-1.63
Si (0.4996, 0.4546, 0.1248)  4 O 1.62-1.63
Si (0.4996, 0.9546, 0.3752)  4 O 1.62-1.63
Si (0.9996, 0.5454, 0.8752)  4 O 1.62-1.63
O (0.4475, 0.6561, 0.3008)  2 Si 1.63
O (0.9475, 0.3439, 0.6992)  2 Si 1.63
O (0.4475, 0.1561, 0.1992)  2 Si 1.63
O (0.3029, 0.5158, 0.9480)  2 Si 1.62-1.63
O (0.8029, 0.9842, 0.4480)  2 Si 1.62-1.63
O (0.9475, 0.8439, 0.8008)  2 Si 1.63
O (0.3029, 0.0158, 0.5520)  2 Si 1.62-1.63
O (0.8029, 0.4842, 0.0520)  2 Si 1.62-1.63

## Properties
Piezoelectric modulus e_max ... 0.21 C/m2
Energy of formation from the pure elements ... -3.265 eV/atom

[2]
First-principles (PBE) data for a relaxed VFe11C4 crystal, as listed in Materials Project.

a b c (Å): 4.4695 4.7608 7.3258
angles (deg): 89.69 90.00 90.00
With the nearest neighbours (Å) after each atom.
Element x y z (fractional)
V (0.5000, 0.4320, 0.8285)  4 C 2.11-2.23, 1 Fe 2.33
Fe (0.5000, 0.8058, 0.6213)  2 C 1.99
Fe (0.5000, 0.9248, 0.9526)  4 C 2.02-2.21
Fe (0.0000, 0.4418, 0.2979)  2 C 2.21, 1 Fe 2.35
Fe (0.0000, 0.8015, 0.8305)  2 C 1.94
Fe (0.0000, 0.9432, 0.4850)  2 C 2.18, 1 Fe 2.35
Fe (0.0000, 0.9222, 0.1646)  2 C 1.97
Fe (0.0000, 0.4236, 0.6181)  2 C 2.01
Fe (0.5000, 0.3046, 0.1655)  2 C 2.03
Fe (0.5000, 0.2803, 0.4852)  2 C 2.27, 4 Fe 2.34-2.53
Fe (0.0000, 0.3061, 0.9579)  2 C 1.98
Fe (0.5000, 0.7796, 0.2968)  2 C 2.23, 2 Fe 2.38-2.46
C (0.7588, 0.6161, 0.0592)  5 Fe 1.97-2.18, 1 C 2.16
C (0.2362, 0.1016, 0.7243)  3 Fe 1.94-2.01, 1 C 2.11, 1 V 2.11
C (0.7638, 0.1016, 0.7243)  3 Fe 1.94-2.01, 1 C 2.11, 1 V 2.11
C (0.2412, 0.6161, 0.0592)  5 Fe 1.97-2.18, 1 C 2.16

## Properties
Energy of formation from the pure elements ... 0.252 eV/atom

[3]
First-principles (PBE) data for a relaxed K2VAgS2 crystal, as listed in Materials Project.

a b c (Å): 11.8989 7.4854 13.4173
angles (deg): 69.36 63.68 37.36
With the nearest neighbours (Å) after each atom.
Element x y z (fractional)
K (0.7478, 0.1736, 0.5528)  1 Ag 3.06, 2 K 3.08-3.23, 1 S 3.37
K (0.6994, 0.8264, 0.5528)  1 Ag 3.06, 2 K 3.08-3.23, 1 S 3.37
K (0.0786, 0.1736, 0.4472)  1 Ag 3.06, 2 K 3.08-3.23, 1 S 3.37
K (0.0022, 0.3264, 0.9472)  1 Ag 3.06, 2 K 3.08-3.23, 1 S 3.37
K (0.4742, 0.8264, 0.4472)  1 Ag 3.06, 2 K 3.08-3.23, 1 S 3.37
K (0.0506, 0.6736, 0.9472)  1 Ag 3.06, 2 K 3.08-3.23, 1 S 3.37
K (0.6714, 0.3264, 0.0528)  1 Ag 3.06, 2 K 3.08-3.23, 1 S 3.37
K (0.2758, 0.6736, 0.0528)  1 Ag 3.06, 2 K 3.08-3.23, 1 S 3.37
V (0.8750, 0.2500, 0.2500)  4 S 2.47-2.67
V (0.8750, 0.7500, 0.2500)  4 S 2.47-2.67
V (0.8750, 0.2500, 0.7500)  4 S 2.47-2.67
V (0.3750, 0.7500, 0.7500)  4 S 2.47-2.67
Ag (0.3750, 0.2500, 0.2500)  2 S 2.39
Ag (0.3750, 0.7500, 0.2500)  2 S 2.39
Ag (0.3750, 0.2500, 0.7500)  2 S 2.39
Ag (0.8750, 0.7500, 0.7500)  2 S 2.39
S (0.1227, 0.2150, 0.1766)  1 Ag 2.39, 2 V 2.47-2.67
S (0.7007, 0.7850, 0.1766)  1 Ag 2.39, 2 V 2.47-2.67
S (0.6623, 0.2150, 0.8234)  1 Ag 2.39, 2 V 2.47-2.67
S (0.6273, 0.2850, 0.3234)  1 Ag 2.39, 2 V 2.47-2.67
S (0.5143, 0.7850, 0.8234)  1 Ag 2.39, 2 V 2.47-2.67
S (0.0493, 0.7150, 0.3234)  1 Ag 2.39, 2 V 2.47-2.67
S (0.0877, 0.2850, 0.6766)  1 Ag 2.39, 2 V 2.47-2.67
S (0.2357, 0.7150, 0.6766)  1 Ag 2.39, 2 V 2.47-2.67

## Properties
Energy of formation from the pure elements ... -0.440 eV/atom

[4]
First-principles (PBE) data for a relaxed FeH4 crystal, as listed in Materials Project.

a b c (Å): 3.6877 2.8968 4.1789
angles (deg): 77.71 90.00 90.00
With the nearest neighbours (Å) after each atom.
Element x y z (fractional)
Fe (0.2500, 0.5031, 0.7643)  5 H 1.59-1.73
Fe (0.7500, 0.4969, 0.2357)  5 H 1.59-1.73
H (0.5014, 0.2064, 0.5688)  1 H 1.43, 1 Fe 1.60
H (0.0014, 0.7936, 0.4312)  1 H 1.43, 1 Fe 1.60
H (0.4986, 0.7936, 0.4312)  1 H 1.43, 1 Fe 1.60
H (0.9986, 0.2064, 0.5688)  1 H 1.43, 1 Fe 1.60
H (0.7500, 0.5469, 0.8498)  1 Fe 1.59
H (0.2500, 0.4531, 0.1502)  1 Fe 1.59
H (0.5000, 0.0000, 0.0000)  8 H 1.77-1.84, 2 Fe 1.83
H (0.0000, 0.0000, 0.0000)  8 H 1.77-1.84, 2 Fe 1.83

## Properties
Energy of formation from the pure elements ... 0.215 eV/atom

[5]
First-principles (PBE) data for a relaxed Cu2IO8 crystal, as listed in Materials Project.

a b c (Å): 5.1012 5.7523 9.6699
angles (deg): 98.42 90.00 90.00
With the nearest neighbours (Å) after each atom.
Element x y z (fractional)
Cu (0.9307, 0.1800, 0.5980)  5 O 1.89-1.98
Cu (0.4307, 0.8200, 0.4020)  5 O 1.89-1.98
Cu (0.0167, 0.7728, 0.8898)  4 O 1.75-1.93
Cu (0.5167, 0.2272, 0.1102)  4 O 1.75-1.93
I (0.4757, 0.0427, 0.7572)  6 O 1.89-1.99
I (0.9757, 0.9573, 0.2428)  6 O 1.89-1.99
O (0.1203, 0.0258, 0.4360)  2 Cu 1.94-1.98, 1 I 1.99
O (0.6203, 0.9742, 0.5640)  2 Cu 1.94-1.98, 1 I 1.99
O (0.8418, 0.8862, 0.0573)  1 Cu 1.88, 1 I 1.91
O (0.3418, 0.1138, 0.9427)  1 Cu 1.88, 1 I 1.91
O (0.7567, 0.7285, 0.3038)  1 I 1.89, 1 Cu 1.95
O (0.2567, 0.2715, 0.6962)  1 I 1.89, 1 Cu 1.95
O (0.2004, 0.2044, 0.2028)  1 Cu 1.86, 1 I 1.91
O (0.7004, 0.7956, 0.7972)  1 Cu 1.86, 1 I 1.91
O (0.2552, 0.7378, 0.2235)  1 I 1.90, 1 Cu 1.94
O (0.7552, 0.2622, 0.7765)  1 I 1.90, 1 Cu 1.94
O (0.7063, 0.1926, 0.2786)  1 I 1.92, 1 Cu 1.93
O (0.2063, 0.8074, 0.7214)  1 I 1.92, 1 Cu 1.93
O (0.8747, 0.4608, 0.5230)  1 Cu 1.89
O (0.3747, 0.5392, 0.4770)  1 Cu 1.89
O (0.7425, 0.4062, 0.0385)  1 Cu 1.75
O (0.2425, 0.5938, 0.9615)  1 Cu 1.75

## Properties
Polymorph energy (0 for the lowest one) ... 0 meV/atom
Energy of formation from the pure elements ... -0.318 eV/atom

[6]
First-principles (PBE) data for a relaxed Mn3Ge crystal, as listed in Materials Project.

a b c (Å): 8.2080 8.2080 8.2080
angles (deg): 18.86 18.86 18.86
With the nearest neighbours (Å) after each atom.
Element x y z (fractional)
Mn (0.2473, 0.2473, 0.2473)  9 Mn 2.49-2.69, 3 Ge 2.60
Mn (0.5000, 0.5000, 0.5000)  12 Mn 2.49-2.69
Mn (0.7527, 0.7527, 0.7527)  9 Mn 2.49-2.69, 3 Ge 2.60
Ge (0.0000, 0.0000, 0.0000)  6 Mn 2.60, 6 Ge 2.69

## Properties
Energy of formation from the pure elements ... 0.185 eV/atom

no.,E (eV per atom)
1,-7.9137
2,-8.4460
3,-4.0077
4,-4.0504
5,-4.3008
6,-7.8427